# 1
PrSiRu after structural relaxation, computed with GGA-PBE.

As for the energy relative to the elements: -769.0 meV/atom. The electronic total energy is -7.263 eV/atom.

The space group is P4/nmm (No. 129, origin choice 2) and the conventional cell measures 4.2350, 4.2350 and 7.0809 Å, with angles of 90.00, 90.00 and 90.00 degrees. The inequivalent atoms are Pr at (0.2500, 0.2500, 0.1799), Si at (0.2500, 0.2500, 0.6699) and Ru at (0.2500, 0.7500, 0.5000).

# 2
HoScO3 after structural relaxation, computed with GGA-PBE.

As for the energy relative to the elements: -3968.1 meV/atom. The electronic total energy is -8.708 eV/atom.

The space group is Pnma (No. 62) and the conventional cell measures 5.7333, 7.9748 and 5.4375 Å, with angles of 90.00, 90.00 and 90.00 degrees. The inequivalent atoms are Ho at (0.0621, 0.2500, 0.0198), Sc at (0.0000, 0.0000, 0.5000), O at (0.0592, 0.7500, 0.3676) and O at (0.1924, 0.5692, 0.8104).

# 3
MgOsN after structural relaxation, computed with GGA-PBE.

As for the energy relative to the elements: 92.1 meV/atom. The electronic total energy is -6.842 eV/atom.

The space group is C2/m (No. 12) and the conventional cell measures 15.6894, 2.8519 and 9.2191 Å, with angles of 90.00, 119.58 and 90.00 degrees. The inequivalent atoms are Mg at (0.1037, 0.0000, 0.1736), Mg at (0.1325, 0.0000, 0.5744), Os at (0.0841, 0.0000, 0.8341), Os at (0.2388, 0.5000, 0.8687), N at (0.0428, 0.0000, 0.3305) and N at (0.2182, 0.5000, 0.2469).